Entry 1:
Entry from Materials Project: a geometry-optimized Cr5Se8 structure (PBE).

```
Cr5Se8
1.0
3.625 5.808 0.000
-3.625 5.808 0.000
0.000 5.674 6.314
Cr Se
5 8
Direct
0.729 0.729 0.014 Cr
0.272 0.728 0.500 Cr
0.728 0.272 0.500 Cr
0.000 0.000 0.000 Cr
0.271 0.271 0.986 Cr
0.031 0.543 0.171 Se
0.979 0.979 0.322 Se
0.457 0.969 0.829 Se
0.453 0.453 0.333 Se
0.547 0.547 0.667 Se
0.543 0.031 0.171 Se
0.021 0.021 0.678 Se
0.969 0.457 0.829 Se
```

**Volume**: 265.8 Å³/cell
**Raw total energy**: -6.39 eV per atom
**Space-group type**: C2/m (12)
**Corrected total energy (MP2020 scheme)**: -86.79 eV per formula unit

---

Entry 2:
Entry from Materials Project: a geometry-optimized Cr2Se3 structure (PBE).

```
Cr2Se3
1.0
1.638 3.180 -5.258
1.638 -3.180 -5.258
-4.536 0.000 -5.258
Se Cr
6 4
Direct
0.596 0.904 0.238 Se
0.904 0.262 0.238 Se
0.738 0.404 0.762 Se
0.262 0.596 0.238 Se
0.404 0.096 0.762 Se
0.096 0.738 0.762 Se
0.500 0.500 0.500 Cr
0.324 0.324 0.028 Cr
0.676 0.676 0.972 Cr
0.000 0.000 0.000 Cr
```

**Volume**: 206.4 Å³/cell
**Raw total energy**: -6.49 eV per atom
**Space-group type**: R-3 (148)
**Corrected total energy (MP2020 scheme)**: -33.85 eV per formula unit